Run A
Entry from the Materials Project database: a relaxed MgCoNi4O8 crystal (GGA+U).

Properties
Volume, Å³/cell: 313.3
Magnetization, μB per formula unit: 7.000
Theoretical density, kg/m³: 4728

a = 10.1881 Å, b = 5.8832 Å, c = 5.2826 Å
α = 90.00°, β = 98.30°, γ = 90.00°
Last column: nearest neighbours and their distance in Å.
Space group Cm (No. 8)
Asymmetric unit:
Mg 0.0000 0.0000 0.0000  4 O 1.91-2.05
Co 0.1460 0.0000 0.5658  6 O 1.89-1.92
Ni 0.1461 0.5000 0.5665  6 O 2.03-2.13
Ni 0.2904 0.0000 0.1239  4 O 1.88-2.05
Ni 0.3963 0.2504 0.5631  6 O 1.89-2.10
O 0.0736 0.2256 0.7616  1 Co 1.90, 2 Ni 1.96-2.11, 1 Mg 2.05
O 0.2185 0.2225 0.3687  1 Co 1.89, 2 Ni 1.96-2.05
O 0.3154 0.0000 0.7788  1 Ni 1.88, 1 Co 1.92
O 0.3370 0.5000 0.7447  3 Ni 1.90-2.03, 1 Mg 1.98
O 0.4533 0.0000 0.3824  4 Ni 1.89-2.06
O 0.4785 0.5000 0.3541  1 Co 1.90, 1 Mg 1.91, 2 Ni 2.08

Run B
Entry from the Materials Project database: a relaxed MgCoNi4O8 crystal (GGA+U).

Properties
Volume, Å³/cell: 143.8
Magnetization, μB per formula unit: 7.001
Theoretical density, kg/m³: 5149

a = 5.7594 Å, b = 5.8816 Å, c = 5.8931 Å
α = 90.35°, β = 119.22°, γ = 119.30°
Last column: nearest neighbours and their distance in Å.
Space group P-1 (No. 2)
Asymmetric unit:
Mg 0.0000 0.0000 0.0000  6 O 2.08-2.11
Co 0.0000 0.0000 0.5000  6 O 1.89-1.91
Ni 0.0000 0.5000 0.5000  6 O 2.08-2.09
Ni 0.5000 0.0000 0.0000  6 O 2.08-2.11
Ni 0.5000 0.0000 0.5000  6 O 1.88-1.90
Ni 0.5000 0.5000 0.5000  6 O 2.09-2.10
O 0.0009 0.7719 0.7295  1 Co 1.91, 1 Mg 2.08, 3 Ni 2.08-2.09
O 0.0420 0.7915 0.2936  1 Co 1.90, 2 Ni 1.90-2.09, 1 Mg 2.11
O 0.4559 0.2074 0.7058  1 Co 1.89, 3 Ni 1.90-2.11
O 0.4995 0.2248 0.2739  4 Ni 1.88-2.09, 1 Mg 2.08

Of them, run A has the lowest stability.

Run A
Entry from the Materials Project database: a relaxed MgNiP2O7 crystal (GGA+U).

Properties
Volume, Å³/cell: 492.2
Magnetization, μB per formula unit: 2.000
Theoretical density, kg/m³: 3468

a = 7.0104 Å, b = 8.3800 Å, c = 9.1282 Å
α = 90.00°, β = 113.40°, γ = 90.00°
Last column: nearest neighbours and their distance in Å.
Space group P2_1/c (No. 14)
Asymmetric unit:
Mg 0.1945 0.0592 0.3194  5 O 1.97-2.08
Ni 0.2701 0.0747 0.8899  6 O 2.05-2.20
P 0.0306 0.7275 0.9679  4 O 1.54-1.59
P 0.4402 0.7329 0.2595  4 O 1.51-1.61
O 0.0160 0.0914 0.6540  1 P 1.54
O 0.0507 0.6098 0.3970  1 P 1.54
O 0.1251 0.2350 0.4510  1 P 1.54
O 0.2486 0.6739 0.1009  2 P 1.59-1.61
O 0.3794 0.2399 0.2968  1 P 1.54
O 0.3876 0.6101 0.8146  1 P 1.51
O 0.4752 0.5952 0.3799  1 P 1.54

Run B
Entry from the Materials Project database: a relaxed MgNiP2O7 crystal (GGA+U).

Properties
Volume, Å³/cell: 120.0
Magnetization, μB per formula unit: 2.000
Theoretical density, kg/m³: 3556

a = 4.5337 Å, b = 5.2809 Å, c = 5.3149 Å
α = 104.21°, β = 98.19°, γ = 98.23°
Last column: nearest neighbours and their distance in Å.
Space group P1 (No. 1)
Asymmetric unit:
Mg 0.0000 0.0000 0.0000  5 O 2.06-2.28
Ni 0.9965 0.6293 0.3773  6 O 2.06-2.20
P 0.4029 0.5286 0.9153  4 O 1.53-1.59
P 0.5894 0.0909 0.4779  4 O 1.53-1.59
O 0.2133 0.3925 0.0802  1 P 1.54
O 0.2226 0.6844 0.7616  1 P 1.53
O 0.2829 0.9357 0.3096  1 P 1.54
O 0.4923 0.2868 0.7167  2 P 1.59
O 0.7111 0.6951 0.0686  1 P 1.54
O 0.7709 0.2478 0.3261  1 P 1.53
O 0.7782 0.9241 0.6126  1 P 1.54

Of them, run B has the lowest stability.

Run A
Entry from the Materials Project database: a relaxed MgFe8O14F2 crystal (GGA+U).

Properties
Volume, Å³/cell: 275.9
Magnetization, μB per formula unit: 36.031
Theoretical density, kg/m³: 4412

a = 4.8213 Å, b = 4.8391 Å, c = 11.8254 Å
α = 90.29°, β = 90.41°, γ = 90.52°
Last column: nearest neighbours and their distance in Å.
Space group P1 (No. 1)
Asymmetric unit:
Mg 0.0000 0.0000 0.0000  6 O 1.92-2.10
Fe 0.0300 0.5237 0.2559  5 O 1.95-2.10
Fe 0.4629 0.0270 0.6280  5 O 1.90-2.01
Fe 0.4930 0.9894 0.3863  5 O 1.94-2.11, 1 F 2.15
Fe 0.4978 0.0000 0.8719  4 O 1.90-1.97
Fe 0.4986 0.9938 0.1291  4 O 1.92-2.13, 1 F 2.01
Fe 0.9941 0.4990 0.0040  5 O 1.90-2.12
Fe 0.9970 0.4912 0.4990  5 O 1.94-2.11, 1 F 2.11
Fe 0.9992 0.4987 0.7571  5 O 1.93-2.14, 1 F 2.02
O 0.1545 0.2811 0.8873  2 Fe 1.91-2.01, 1 Mg 2.05
O 0.1611 0.2811 0.1194  2 Fe 1.91-2.10, 1 Mg 2.10
O 0.1660 0.3161 0.6298  3 Fe 1.93-2.01
O 0.1954 0.3041 0.3767  3 Fe 1.95-2.10
O 0.2957 0.8106 0.5115  3 Fe 1.90-2.11
O 0.3074 0.8103 0.7533  3 Fe 1.90-2.11
O 0.3327 0.8075 0.2547  3 Fe 1.92-1.99
O 0.3364 0.7891 0.9972  1 Mg 1.92, 2 Fe 1.96-2.00
O 0.6617 0.2090 0.9996  1 Mg 1.93, 3 Fe 1.97-2.12
O 0.6682 0.2004 0.7532  2 Fe 1.90-1.96
O 0.6761 0.1923 0.5081  3 Fe 1.93-2.11
O 0.8129 0.6949 0.3794  3 Fe 1.94-2.11
O 0.8363 0.7186 0.8861  3 Fe 1.92-2.14, 1 Mg 2.06
O 0.8464 0.7270 0.1199  3 Fe 1.90-2.13, 1 Mg 2.08
F 0.6924 0.2128 0.2521  3 Fe 2.01-2.21
F 0.7952 0.6986 0.6322  2 Fe 2.02-2.11

Run B
Entry from the Materials Project database: a relaxed MgFe8O14F2 crystal (GGA+U).

Properties
Volume, Å³/cell: 284.1
Magnetization, μB per formula unit: 35.986
Theoretical density, kg/m³: 4284

a = 5.6759 Å, b = 7.3737 Å, c = 7.7029 Å
α = 83.44°, β = 68.78°, γ = 70.98°
Last column: nearest neighbours and their distance in Å.
Space group P1 (No. 1)
Asymmetric unit:
Mg 0.0000 0.0000 0.0000  5 O 2.00-2.09, 1 F 2.10
Fe 0.1566 0.3679 0.6379  5 O 1.91-1.99
Fe 0.1783 0.8315 0.6056  4 O 1.94-2.03, 1 F 2.10
Fe 0.4266 0.1324 0.8811  5 O 1.86-1.99
Fe 0.4510 0.5991 0.8526  5 O 1.88-1.95
Fe 0.5621 0.8652 0.1509  4 O 1.91-2.05, 1 F 2.13
Fe 0.5716 0.3885 0.1806  5 O 1.89-1.95
Fe 0.8468 0.1268 0.4030  4 O 1.95-1.99, 1 F 2.05
Fe 0.8687 0.6245 0.4016  5 O 1.97-2.11, 1 F 2.13
O 0.0761 0.2526 0.8790  2 Fe 1.90-1.91, 1 Mg 2.09
O 0.2320 0.4545 0.3854  3 Fe 1.91-2.00
O 0.2339 0.5804 0.7237  3 Fe 1.88-1.99
O 0.2417 0.0440 0.1282  2 Fe 1.92-1.97, 1 Mg 2.07
O 0.3318 0.8619 0.7968  2 Fe 1.89-2.03, 1 Mg 2.00
O 0.4677 0.3568 0.9752  3 Fe 1.91-1.99
O 0.5142 0.7811 0.4011  3 Fe 1.91-1.97
O 0.5162 0.1988 0.6233  3 Fe 1.91-1.99
O 0.5442 0.6344 0.0610  3 Fe 1.92-1.95
O 0.6776 0.1173 0.2212  2 Fe 1.92-1.98, 1 Mg 2.01
O 0.7437 0.9583 0.8905  2 Fe 1.86-2.05, 1 Mg 2.04
O 0.7925 0.3959 0.3119  3 Fe 1.89-2.11
O 0.8015 0.5200 0.6591  3 Fe 1.92-1.99
O 0.9494 0.8554 0.4634  3 Fe 1.94-2.05
F 0.0848 0.1266 0.5494  3 Fe 2.05-2.18
F 0.9680 0.7365 0.1263  1 Mg 2.10, 2 Fe 2.13

Of them, run A has the lowest stability.

Run A
Entry from the Materials Project database: a relaxed MgFe8O14F2 crystal (GGA+U).

Properties
Volume, Å³/cell: 268.4
Magnetization, μB per formula unit: 35.964
Theoretical density, kg/m³: 4535

a = 5.6458 Å, b = 7.0258 Å, c = 7.4387 Å
α = 78.53°, β = 71.74°, γ = 75.01°
Last column: nearest neighbours and their distance in Å.
Space group P1 (No. 1)
Asymmetric unit:
Mg 0.0000 0.0000 0.0000  4 O 1.94-2.15, 1 F 1.96
Fe 0.3358 0.2988 0.5985  4 O 1.92-2.13, 1 F 2.04
Fe 0.3487 0.3354 0.1028  5 O 1.94-1.99
Fe 0.4175 0.8065 0.6107  5 O 1.84-2.01
Fe 0.4370 0.8091 0.1087  6 O 1.95-2.15
Fe 0.7799 0.1193 0.7232  4 O 1.84-2.04
Fe 0.8675 0.5567 0.8633  4 O 1.91-2.12, 1 F 2.05
Fe 0.8837 0.5644 0.3571  6 O 1.99-2.03
Fe 0.9184 0.0532 0.3628  5 O 1.96-2.05, 1 F 2.09
O 0.0148 0.4963 0.0863  3 Fe 1.96-2.03
O 0.0443 0.8020 0.2516  3 Fe 1.97-2.15, 1 Mg 2.14
O 0.0921 0.9800 0.5658  3 Fe 1.93-2.01
O 0.2167 0.3864 0.3738  3 Fe 1.92-2.00
O 0.2215 0.0883 0.1520  3 Fe 1.96-2.05, 1 Mg 2.19
O 0.3198 0.8421 0.8645  1 Fe 1.84, 1 Mg 1.94
O 0.4701 0.2695 0.8416  2 Fe 1.84-1.95
O 0.5481 0.5369 0.0483  3 Fe 1.91-1.95
O 0.5489 0.7405 0.3456  3 Fe 1.98-1.99
O 0.5808 0.0353 0.5611  4 Fe 1.97-2.13
O 0.7390 0.3165 0.4701  4 Fe 2.03-2.20, 1 O 2.27
O 0.7402 0.6318 0.6278  3 Fe 1.94-2.02
O 0.7654 0.8720 0.9200  3 Fe 2.04-2.23, 1 Mg 2.06
O 0.9965 0.2617 0.7943  3 Fe 2.01-2.12, 1 Mg 2.15
F 0.2127 0.5799 0.6719  3 Fe 2.04-2.10
F 0.6960 0.1469 0.1707  1 Mg 1.96, 1 Fe 2.09

Run B
Entry from the Materials Project database: a relaxed MgFe8O14F2 crystal (GGA+U).

Properties
Volume, Å³/cell: 289.2
Magnetization, μB per formula unit: 36.024
Theoretical density, kg/m³: 4209

a = 5.7458 Å, b = 7.3152 Å, c = 7.6850 Å
α = 82.63°, β = 71.05°, γ = 71.24°
Last column: nearest neighbours and their distance in Å.
Space group P1 (No. 1)
Asymmetric unit:
Mg 0.0000 0.0000 0.0000  5 O 1.97-2.16, 1 F 2.11
Fe 0.0668 0.3723 0.6650  5 O 1.91-2.01
Fe 0.1391 0.8468 0.6243  5 O 1.86-2.08
Fe 0.3835 0.5903 0.8632  5 O 1.87-1.95
Fe 0.4800 0.1133 0.8253  4 O 1.91-2.07, 1 F 2.11
Fe 0.5516 0.8889 0.1957  4 O 1.88-1.99
Fe 0.6348 0.3903 0.1319  4 O 1.95-2.01, 1 F 2.04
Fe 0.8876 0.1250 0.3844  4 O 1.89-2.01, 1 F 2.03
Fe 0.9576 0.6015 0.3281  5 O 1.93-1.99
O 0.0494 0.7611 0.8710  2 Fe 1.88-1.91, 1 Mg 2.01
O 0.0691 0.6180 0.5360  3 Fe 1.93-2.08
O 0.1774 0.1025 0.7417  2 Fe 1.95-2.07, 1 Mg 2.08
O 0.2372 0.9513 0.3863  3 Fe 1.87-2.01
O 0.2834 0.5330 0.1220  3 Fe 1.91-1.98
O 0.3141 0.3790 0.7788  3 Fe 1.91-1.95
O 0.4699 0.7109 0.6323  2 Fe 1.86-1.87
O 0.6101 0.1100 0.0319  2 Fe 1.96-1.97, 1 Mg 2.06
O 0.6977 0.6111 0.2165  3 Fe 1.93-1.99
O 0.7244 0.4576 0.8607  3 Fe 1.88-2.01
O 0.7949 0.0171 0.6349  3 Fe 1.91-1.96
O 0.8522 0.8849 0.2727  3 Fe 1.99-2.14, 1 Mg 2.16
O 0.9485 0.3519 0.4626  3 Fe 1.93-2.00
O 0.9711 0.2193 0.1389  2 Fe 1.89-1.95, 1 Mg 1.97
F 0.3919 0.8735 0.9855  2 Fe 2.11-2.13, 1 Mg 2.11
F 0.5192 0.2714 0.3889  2 Fe 2.03-2.04

Run C
Entry from the Materials Project database: a relaxed MgFe8O14F2 crystal (GGA+U).

Properties
Volume, Å³/cell: 310.6
Magnetization, μB per formula unit: 36.036
Theoretical density, kg/m³: 3919

a = 5.1530 Å, b = 5.1537 Å, c = 12.0877 Å
α = 86.96°, β = 86.52°, γ = 75.95°
Last column: nearest neighbours and their distance in Å.
Space group P1 (No. 1)
Asymmetric unit:
Mg 0.0000 0.0000 0.0000  4 O 1.90-2.06
Fe 0.1888 0.1831 0.7229  5 O 1.82-1.97
Fe 0.2391 0.1858 0.4837  5 O 1.85-1.94
Fe 0.2605 0.2600 0.2461  5 O 1.86-2.07
Fe 0.3499 0.3436 0.0120  4 O 1.87-2.00, 1 F 1.95
Fe 0.7094 0.6971 0.1282  3 O 1.86-1.96
Fe 0.7685 0.7609 0.8578  5 O 1.95-2.15, 1 F 2.02
Fe 0.7985 0.8054 0.6170  4 O 1.92-1.99, 1 F 2.07
Fe 0.8259 0.8390 0.3582  4 O 1.92-1.97, 1 F 2.13
O 0.0310 0.0298 0.8394  1 Fe 1.82, 1 Mg 1.94
O 0.0514 0.0260 0.6002  3 Fe 1.92-1.97
O 0.0771 0.0566 0.3676  3 Fe 1.90-2.07
O 0.1449 0.1486 0.1155  2 Fe 1.89-1.98, 1 Mg 1.90
O 0.3522 0.3425 0.6043  2 Fe 1.87-1.89
O 0.3859 0.3728 0.3717  2 Fe 1.85-1.86
O 0.4758 0.4723 0.1346  2 Fe 1.86-1.87
O 0.5485 0.9530 0.7403  3 Fe 1.95-1.97
O 0.5793 0.9248 0.4894  3 Fe 1.94-1.97
O 0.5808 0.9645 0.2404  3 Fe 1.94-1.96
O 0.6064 0.9878 0.9930  3 Fe 2.00-2.16, 1 Mg 2.05
O 0.9593 0.5447 0.7361  3 Fe 1.96-1.99
O 0.9646 0.5769 0.2454  3 Fe 1.94-1.96
O 0.9956 0.6035 0.9924  3 Fe 2.00-2.13, 1 Mg 2.06
F 0.5221 0.5117 0.8895  2 Fe 1.95-2.02
F 0.9338 0.5467 0.4891  3 Fe 2.07-2.13

Of them, run C has the lowest stability.

Run A
Entry from the Materials Project database: a relaxed Sr4MgFe4O10 crystal (GGA+U).

Properties
Volume, Å³/cell: 528.5
Magnetization, μB per formula unit: 18.000
Theoretical density, kg/m³: 4764

a = 7.7392 Å, b = 16.9819 Å, c = 5.5682 Å
α = 90.00°, β = 133.76°, γ = 90.00°
Last column: nearest neighbours and their distance in Å.
Space group Cm (No. 8)
Asymmetric unit:
Sr 0.0000 0.1445 0.0000  7 O 2.50-2.78
Sr 0.4801 0.1485 0.9839  7 O 2.55-2.82
Mg 0.1007 0.5000 0.6940  4 O 2.01-2.08
Fe 0.2952 0.0000 0.0679  4 O 2.05-2.17
Fe 0.3808 0.5000 0.4436  4 O 2.06-2.12
Fe 0.4819 0.2648 0.4812  5 O 1.95-2.03
O 0.0324 0.5000 0.9870  1 Mg 2.03, 2 Fe 2.06-2.17
O 0.2313 0.2554 0.9775  2 Fe 2.02-2.03
O 0.2332 0.2482 0.4820  2 Fe 1.95-1.96
O 0.4415 0.0938 0.3881  1 Mg 2.01, 1 Fe 2.05
O 0.4439 0.5000 0.8805  1 Mg 2.08, 2 Fe 2.12-2.13
O 0.4846 0.3833 0.4935  2 Fe 2.01-2.08

Run B
Entry from the Materials Project database: a relaxed Sr4MgFe4O10 crystal (GGA+U).

Properties
Volume, Å³/cell: 271.8
Magnetization, μB per formula unit: 18.000
Theoretical density, kg/m³: 4632

a = 5.6625 Å, b = 5.8970 Å, c = 8.9917 Å
α = 71.16°, β = 73.05°, γ = 83.57°
Last column: nearest neighbours and their distance in Å.
Space group P1 (No. 1)
Asymmetric unit:
Sr 0.0000 0.0000 0.0000  7 O 2.42-2.70
Sr 0.1447 0.1229 0.5874  6 O 2.58-2.74
Sr 0.3949 0.3750 0.0247  6 O 2.54-2.76
Sr 0.5909 0.6224 0.5958  6 O 2.56-2.72
Mg 0.6346 0.6592 0.1524  4 O 2.01-2.07
Fe 0.0081 0.5485 0.8106  4 O 2.04-2.25
Fe 0.1593 0.6958 0.3353  4 O 1.87-1.98
Fe 0.5568 0.0292 0.7896  5 O 1.95-2.04
Fe 0.7550 0.2488 0.3314  2 O 1.89
O 0.1358 0.7129 0.5437  1 Fe 1.87
O 0.2924 0.2850 0.7929  2 Fe 2.00-2.12
O 0.3014 0.7930 0.8139  1 Fe 2.04
O 0.3595 0.9212 0.1502  1 Fe 1.91, 1 Mg 2.07
O 0.3768 0.4157 0.3101  1 Fe 1.98, 1 Mg 2.04
O 0.6879 0.0747 0.5558  2 Fe 1.89-1.95
O 0.7419 0.7634 0.9071  2 Fe 1.97-2.04, 1 Mg 2.01
O 0.7743 0.2775 0.7954  2 Fe 2.04-2.25
O 0.8430 0.6762 0.2981  1 Fe 1.94, 1 Mg 2.03
O 0.8879 0.3487 0.1027  1 Fe 1.89

Of them, run B has the lowest stability.

Run A
Entry from the Materials Project database: a relaxed KMg6WO8 crystal (GGA+U).

Properties
Volume, Å³/cell: 179.8
Magnetization, μB per formula unit: 3.000
Theoretical density, kg/m³: 4588

a = 4.4775 Å, b = 4.4775 Å, c = 8.9678 Å
α = 90.00°, β = 90.00°, γ = 90.00°
Last column: nearest neighbours and their distance in Å.
Space group P4/mmm (No. 123)
Asymmetric unit:
K 0.0000 0.0000 0.0000  6 O 2.24-2.39
Mg 0.0000 0.5000 0.2343  5 O 2.10-2.26
Mg 0.5000 0.5000 0.0000  6 O 2.24-2.28
Mg 0.5000 0.5000 0.5000  6 O 2.20-2.24
W 0.0000 0.0000 0.5000  6 O 2.09-2.24
O 0.0000 0.0000 0.2666  1 W 2.09, 4 Mg 2.26
O 0.0000 0.5000 0.0000  4 Mg 2.10-2.24, 2 K 2.24
O 0.0000 0.5000 0.5000  2 W 2.24, 4 Mg 2.24-2.38
O 0.5000 0.5000 0.2546  6 Mg 2.20-2.28

Run B
Entry from the Materials Project database: a relaxed KMg6WO8 crystal (GGA+U).

Properties
Volume, Å³/cell: 177.0
Magnetization, μB per formula unit: 3.000
Theoretical density, kg/m³: 4660

a = 4.4817 Å, b = 4.4817 Å, c = 8.8138 Å
α = 90.00°, β = 90.00°, γ = 90.00°
Last column: nearest neighbours and their distance in Å.
Space group P4/mmm (No. 123)
Asymmetric unit:
K 0.0000 0.0000 0.0000  6 O 2.24-2.44
Mg 0.0000 0.0000 0.5000  2 O 1.97
Mg 0.0000 0.5000 0.2610  6 O 2.11-2.30
Mg 0.5000 0.5000 0.5000  6 O 2.18-2.24
W 0.5000 0.5000 0.0000  6 O 2.23-2.24
O 0.0000 0.0000 0.2770  1 Mg 1.97
O 0.0000 0.5000 0.0000  2 W 2.24, 2 K 2.24, 2 Mg 2.30
O 0.0000 0.5000 0.5000  6 Mg 2.11-2.24
O 0.5000 0.5000 0.2527  5 Mg 2.18-2.24, 1 W 2.23

Of them, run A has the lowest stability.